No. 1
Here is a relaxed Lu6MgWO12 crystal from Materials Project. Energies are from PBE with a Hubbard U.

Output
As for the final energy: -160.0 eV for the cell shown. Its symmetry is No. 146.

Unit cell a=6.4272 b=6.4272 c=6.4272 alpha=99.58 beta=99.58 gamma=99.58
Last column: nearest neighbours and their distance in Å.
Fractional coordinates of all 20 atoms:
1 Lu 0.1329 0.3061 0.6509  5 O 2.15-2.35
2 Lu 0.3944 0.8590 0.6677  6 O 2.20-2.33
3 Lu 0.3061 0.6509 0.1329  5 O 2.15-2.35
4 Lu 0.6677 0.3944 0.8590  6 O 2.20-2.33
5 Lu 0.6509 0.1329 0.3061  5 O 2.15-2.35
6 Lu 0.8590 0.6677 0.3944  6 O 2.20-2.33
7 Mg 0.2724 0.2724 0.2724  6 O 2.11-2.12
8 W 0.9796 0.9796 0.9796  6 O 2.07-2.12
9 O 0.0561 0.9157 0.6775  1 W 2.07, 2 Lu 2.25-2.27
10 O 0.0973 0.3074 0.9771  1 Mg 2.11, 1 W 2.12, 2 Lu 2.15-2.35
11 O 0.1895 0.5613 0.4166  1 Mg 2.12, 3 Lu 2.21-2.33
12 O 0.3074 0.9771 0.0973  1 Mg 2.11, 1 W 2.12, 2 Lu 2.15-2.35
13 O 0.4087 0.5835 0.8276  4 Lu 2.17-2.28
14 O 0.4166 0.1895 0.5613  1 Mg 2.12, 3 Lu 2.21-2.33
15 O 0.5835 0.8276 0.4087  4 Lu 2.17-2.28
16 O 0.5613 0.4166 0.1895  1 Mg 2.12, 3 Lu 2.21-2.33
17 O 0.6775 0.0561 0.9157  1 W 2.07, 2 Lu 2.25-2.27
18 O 0.8276 0.4087 0.5835  4 Lu 2.17-2.28
19 O 0.9157 0.6775 0.0561  1 W 2.07, 2 Lu 2.25-2.27
20 O 0.9771 0.0973 0.3074  1 Mg 2.11, 1 W 2.12, 2 Lu 2.15-2.35



No. 2
Here is a relaxed Lu6MgWO12 crystal from Materials Project. Energies are from PBE with a Hubbard U.

Output
As for the final energy: -160.1 eV for the cell shown. Its symmetry is No. 1.

Unit cell a=6.5377 b=6.2991 c=6.5461 alpha=97.77 beta=100.39 gamma=99.00
Last column: nearest neighbours and their distance in Å.
Fractional coordinates of all 20 atoms:
1 Lu 0.1259 0.3060 0.6352  7 O 2.19-2.44
2 Lu 0.3956 0.8621 0.6912  5 O 2.14-2.26
3 Lu 0.3460 0.6086 0.1490  6 O 2.21-2.28
4 Lu 0.6547 0.3956 0.8253  6 O 2.12-2.37
5 Lu 0.5751 0.1387 0.3246  5 O 2.13-2.36
6 Lu 0.8700 0.7393 0.4137  5 O 2.12-2.37
7 Mg 0.9384 0.3690 0.1932  4 O 1.98-2.14
8 W 0.9988 0.9736 0.9924  6 O 2.02-2.25
9 O 0.0709 0.9383 0.6886  1 W 2.12, 2 Lu 2.13-2.25
10 O 0.1086 0.3046 0.9791  1 Mg 1.98, 1 W 2.11
11 O 0.1635 0.5698 0.4097  1 Mg 1.99
12 O 0.3149 0.9394 0.0803  1 W 2.10, 2 Lu 2.20-2.22
13 O 0.3966 0.5680 0.8217  4 Lu 2.14-2.26
14 O 0.4095 0.1837 0.5750  4 Lu 2.13-2.25
15 O 0.5673 0.8163 0.4266  4 Lu 2.12-2.24
16 O 0.6207 0.4232 0.1723  1 Mg 2.14, 3 Lu 2.17-2.31
17 O 0.7045 0.0568 0.8895  1 W 2.09, 2 Lu 2.26-2.29
18 O 0.8216 0.4273 0.5777  3 Lu 2.12-2.37
19 O 0.9130 0.6711 0.0574  1 W 2.02, 1 Mg 2.22
20 O 0.9210 0.0837 0.3059  1 Mg 2.03, 1 W 2.25



No. 3
Here is a relaxed Lu6MgWO12 crystal from Materials Project. Energies are from PBE with a Hubbard U.

Output
As for the final energy: -161.5 eV for the cell shown. Its symmetry is No. 148.

Unit cell a=6.4428 b=6.4428 c=6.4428 alpha=92.93 beta=92.93 gamma=92.93
Last column: nearest neighbours and their distance in Å.
Fractional coordinates of all 20 atoms:
1 Lu 0.0787 0.2643 0.5627  6 O 2.19-2.36
2 Lu 0.4373 0.9213 0.7357  6 O 2.19-2.36
3 Lu 0.2643 0.5627 0.0787  6 O 2.19-2.36
4 Lu 0.7357 0.4373 0.9213  6 O 2.19-2.36
5 Lu 0.5627 0.0787 0.2643  6 O 2.19-2.36
6 Lu 0.9213 0.7357 0.4373  6 O 2.19-2.36
7 Mg 0.5000 0.5000 0.5000  6 O 2.10
8 W 0.0000 0.0000 0.0000  6 O 2.10
9 O 0.0806 0.9292 0.6933  1 W 2.10, 2 Lu 2.19-2.30
10 O 0.0708 0.3067 0.9194  1 W 2.10, 2 Lu 2.19-2.30
11 O 0.1887 0.5394 0.4053  1 Mg 2.10, 3 Lu 2.19-2.20
12 O 0.3067 0.9194 0.0708  1 W 2.10, 2 Lu 2.19-2.30
13 O 0.4606 0.5947 0.8113  1 Mg 2.10, 3 Lu 2.19-2.20
14 O 0.4053 0.1887 0.5394  1 Mg 2.10, 3 Lu 2.19-2.20
15 O 0.5947 0.8113 0.4606  1 Mg 2.10, 3 Lu 2.19-2.20
16 O 0.5394 0.4053 0.1887  1 Mg 2.10, 3 Lu 2.19-2.20
17 O 0.6933 0.0806 0.9292  1 W 2.10, 2 Lu 2.19-2.30
18 O 0.8113 0.4606 0.5947  1 Mg 2.10, 3 Lu 2.19-2.20
19 O 0.9292 0.6933 0.0806  1 W 2.10, 2 Lu 2.19-2.30
20 O 0.9194 0.0708 0.3067  1 W 2.10, 2 Lu 2.19-2.30



No. 4
Here is a relaxed LuMn2O5 crystal from Materials Project. Energies are from PBE with a Hubbard U.

Output
As for the final energy: -248.3 eV for the cell shown. Its symmetry is No. 55.

Unit cell a=5.7615 b=7.2298 c=8.4731 alpha=90.00 beta=90.00 gamma=90.00
Last column: nearest neighbours and their distance in Å.
Fractional coordinates of all 32 atoms:
1 Lu 0.0000 0.1371 0.1696  8 O 2.30-2.48
2 Lu 0.0000 0.8629 0.8304  8 O 2.30-2.48
3 Lu 0.0000 0.6371 0.3304  8 O 2.30-2.48
4 Lu 0.0000 0.3629 0.6696  8 O 2.30-2.48
5 Mn 0.2520 0.0000 0.5000  6 O 1.90-1.95
6 Mn 0.7480 0.5000 0.0000  6 O 1.90-1.95
7 Mn 0.7480 0.0000 0.5000  6 O 1.90-1.95
8 Mn 0.2520 0.5000 0.0000  6 O 1.90-1.95
9 Mn 0.5000 0.4127 0.3476  5 O 1.94-2.01
10 Mn 0.5000 0.5873 0.6524  5 O 1.94-2.01
11 Mn 0.5000 0.9127 0.1524  5 O 1.94-2.01
12 Mn 0.5000 0.0873 0.8476  5 O 1.94-2.01
13 O 0.2657 0.0000 0.0000  2 Mn 1.97
14 O 0.7343 0.5000 0.5000  2 Mn 1.97
15 O 0.7343 0.0000 0.0000  2 Mn 1.97
16 O 0.2657 0.5000 0.5000  2 Mn 1.97
17 O 0.0000 0.1663 0.4399  2 Mn 1.95
18 O 0.0000 0.8337 0.5601  2 Mn 1.95
19 O 0.0000 0.6663 0.0601  2 Mn 1.95
20 O 0.0000 0.3337 0.9399  2 Mn 1.95
21 O 0.5000 0.1506 0.4283  3 Mn 1.90-2.01
22 O 0.5000 0.8494 0.5717  3 Mn 1.90-2.01
23 O 0.5000 0.6506 0.0717  3 Mn 1.90-2.01
24 O 0.5000 0.3494 0.9283  3 Mn 1.90-2.01
25 O 0.2366 0.3888 0.2070  2 Mn 1.93-1.94
26 O 0.2366 0.6112 0.7930  2 Mn 1.93-1.94
27 O 0.7634 0.8888 0.2930  2 Mn 1.93-1.94
28 O 0.7634 0.1112 0.7070  2 Mn 1.93-1.94
29 O 0.7634 0.6112 0.7930  2 Mn 1.93-1.94
30 O 0.7634 0.3888 0.2070  2 Mn 1.93-1.94
31 O 0.2366 0.1112 0.7070  2 Mn 1.93-1.94
32 O 0.2366 0.8888 0.2930  2 Mn 1.93-1.94



No. 5
Here is a relaxed Lu2Mn3Sb3O14 crystal from Materials Project. Energies are from PBE with a Hubbard U.

Output
As for the final energy: -157.7 eV for the cell shown. Its symmetry is No. 12.

Unit cell a=7.2283 b=7.2283 c=7.2023 alpha=60.64 beta=60.64 gamma=60.72
Last column: nearest neighbours and their distance in Å.
Fractional coordinates of all 22 atoms:
1 Lu 0.0000 0.0000 0.0000  2 O 2.18
2 Lu 0.0000 0.0000 0.5000  6 O 2.22-2.44
3 Mn 0.5000 0.0000 0.0000  4 O 2.24-2.51
4 Mn 0.0000 0.5000 0.0000  4 O 2.24-2.51
5 Mn 0.5000 0.5000 0.5000  6 O 1.95-2.07
6 Sb 0.5000 0.5000 0.0000  6 O 1.98-2.00
7 Sb 0.0000 0.5000 0.5000  6 O 1.95-2.02
8 Sb 0.5000 0.0000 0.5000  6 O 1.95-2.02
9 O 0.8765 0.8765 0.8753  2 Lu 2.18-2.22, 2 Mn 2.24
10 O 0.1235 0.1235 0.1247  2 Lu 2.18-2.22, 2 Mn 2.24
11 O 0.5768 0.5768 0.1767  1 Mn 1.95, 1 Sb 1.98
12 O 0.1671 0.1671 0.5929  2 Sb 2.02
13 O 0.1564 0.5951 0.5772  1 Sb 1.95, 1 Mn 2.07
14 O 0.5887 0.1691 0.1665  2 Sb 2.00-2.01
15 O 0.1691 0.5887 0.1665  2 Sb 2.00-2.01
16 O 0.5951 0.1564 0.5772  1 Sb 1.95, 1 Mn 2.07
17 O 0.4232 0.4232 0.8233  1 Mn 1.95, 1 Sb 1.98
18 O 0.8329 0.8329 0.4071  2 Sb 2.02
19 O 0.8436 0.4049 0.4228  1 Sb 1.95, 1 Mn 2.07
20 O 0.4113 0.8309 0.8335  2 Sb 2.00-2.01
21 O 0.8309 0.4113 0.8335  2 Sb 2.00-2.01
22 O 0.4049 0.8436 0.4228  1 Sb 1.95, 1 Mn 2.07